DFT (PBE) results for crystalline La2SiSn2S5O24 at its relaxed geometry.

Geometry as POSCAR:
```
La2SiSn2S5O24
1.0
9.1910 0.0000 0.0000
-4.5641 8.0071 0.0000
-0.0424 -0.1020 23.8472
La Si Sn S O
6 3 6 15 72
direct
0.0000 0.0000 0.0000
0.0006 0.0028 0.8051
0.3202 0.6733 0.1263
0.3353 0.6712 0.6218
0.6559 0.3323 0.1845
0.9759 0.0058 0.3084
0.3042 0.0015 0.9041
0.6776 0.6207 0.5683
0.6839 0.0064 0.4089
0.3207 0.6745 0.8382
0.3295 0.6764 0.3483
0.6496 0.3300 0.9659
0.6525 0.3344 0.4683
0.6570 0.3420 0.6721
0.9648 0.9864 0.5077
0.0191 0.6451 0.7368
0.0498 0.3983 0.2449
0.2873 0.3054 0.4095
0.3189 0.9482 0.2442
0.3411 0.3909 0.7389
0.3599 0.0665 0.5684
0.3758 0.3373 0.0684
0.5975 0.6667 0.2430
0.6079 0.9782 0.7370
0.6594 0.0558 0.0675
0.6702 0.6861 0.9044
0.9252 0.3144 0.5698
0.9283 0.6113 0.0668
0.9908 0.3212 0.9045
0.9911 0.6994 0.4085
0.0243 0.2503 0.9548
0.0291 0.8154 0.4575
0.0363 0.2333 0.2483
0.0884 0.4650 0.5764
0.0947 0.6248 0.0680
0.0994 0.6208 0.7892
0.1237 0.6720 0.6878
0.1353 0.5004 0.2967
0.1417 0.4783 0.1933
0.1431 0.4868 0.8930
0.1428 0.6798 0.4003
0.1714 0.9677 0.2495
0.1762 0.2247 0.4588
0.1861 0.9612 0.9591
0.1947 0.0576 0.5595
0.1946 0.2256 0.7466
0.2091 0.1902 0.0633
0.2161 0.0393 0.8512
0.2210 0.2035 0.3584
0.3017 0.4742 0.4011
0.3040 0.8552 0.1921
0.3162 0.4708 0.6899
0.3203 0.8325 0.8922
0.3370 0.8605 0.2946
0.3380 0.8989 0.5751
0.3629 0.4903 0.0703
0.3678 0.4971 0.7914
0.4355 0.1666 0.6214
0.4550 0.3214 0.1200
0.4583 0.3304 0.4183
0.4705 0.1419 0.5196
0.4734 0.1126 0.2422
0.4804 0.3556 0.0178
0.4894 0.1673 0.9144
0.4945 0.6492 0.2941
0.4958 0.3748 0.7327
0.4976 0.6588 0.8932
0.4983 0.8373 0.3996
0.5003 0.9005 0.7881
0.5044 0.8922 0.0692
0.5140 0.6406 0.5747
0.5184 0.6824 0.1916
0.5312 0.8736 0.6874
0.6109 0.5139 0.2411
0.6173 0.1477 0.7288
0.6417 0.1441 0.0173
0.6460 0.5032 0.5137
0.6556 0.5193 0.9151
0.6583 0.1676 0.4211
0.6739 0.1495 0.1195
0.7053 0.5380 0.6271
0.7379 0.7938 0.9542
0.7644 0.8139 0.2475
0.7761 0.0046 0.7468
0.7767 0.9674 0.4622
0.7786 0.7604 0.8553
0.7973 0.0465 0.3535
0.8065 0.0363 0.0619
0.8213 0.2818 0.6221
0.8359 0.5306 0.1183
0.8422 0.5088 0.0153
0.8436 0.3388 0.5204
0.8463 0.5315 0.4187
0.8468 0.3512 0.9148
0.8475 0.8056 0.5620
0.8523 0.4855 0.7315
0.8828 0.3837 0.2434
0.9419 0.7760 0.0628
0.9483 0.1661 0.5626
0.9500 0.2089 0.8558
0.9570 0.7678 0.3578
0.9897 0.7861 0.7456
```

E_form, meV per atom: -2320
Raw total energy, eV/atom: -6.6215
ρ, g cm⁻³: 3.09
Total moment, μB/f.u.: 0.00
SG: No. 1